Material: GaCuPt2
Method: DFT, GGA-PBE
State: optimized geometry

```
4
Lattice="-0.165 -0.509 3.533 -2.968 2.700 0.250 -2.705 -2.923 -0.547" Properties=species:S:1:pos:R:3 pbc="T T T"
Pt -1.435 -1.716 1.493
Pt -1.566 1.096 1.892
Ga -2.837 -0.112 -0.148
Cu 0.000 0.000 0.000
```

Output
DFT total energy: -21.2 eV/f.u.

***

Material: Ta3Mn8Si
Method: DFT, GGA-PBE
State: optimized geometry

```
12
Lattice="-4.660 0.878 0.345 2.009 -0.527 -4.277 -1.425 -7.674 0.275" Properties=species:S:1:pos:R:3 pbc="T T T"
Ta -0.307 -0.562 -2.718
Ta -0.844 -3.449 -2.614
Ta -3.749 -6.654 -0.942
Mn -1.175 -5.764 -1.203
Mn -0.718 -3.864 0.139
Mn -2.898 -1.552 -2.435
Mn -0.012 -0.063 0.002
Mn -0.200 -6.019 -3.278
Mn -1.630 -1.720 -0.554
Mn -3.859 -1.301 -0.389
Mn -2.461 -5.593 -3.110
Si -3.239 -3.908 -1.040
```

Output
magnetization: 2.522 μB per formula unit
DFT total energy: -116.7 eV/f.u.